# Na8MgSi4Sn3P2O24 | the Materials Project | PBE | optimized geometry
data_Na8MgSi4Sn3P2O24
_chemical_formula_sum 'Na24 Mg3 Si12 Sn9 P6 O72'
_symmetry_space_group_name_H-M 'P 1'
_symmetry_Int_Tables_number 1
_symmetry_space_group_name_Hall 'P 1'
_cell_length_a 9.110
_cell_length_b 9.112
_cell_length_c 22.246
_cell_angle_alpha 90.02
_cell_angle_beta 90.07
_cell_angle_gamma 119.94
loop_
_atom_site_label
_atom_site_type_symbol
_atom_site_fract_x
_atom_site_fract_y
_atom_site_fract_z
_atom_site_occupancy
Na1 Na 0.000 0.000 0.000 1
Na2 Na 0.000 0.261 0.497 1
Na3 Na 0.004 0.634 0.747 1
Na4 Na 0.014 0.637 0.243 1
Na5 Na 0.036 0.972 0.657 1
Na6 Na 0.042 0.329 0.161 1
Na7 Na 0.320 0.606 0.652 1
Na8 Na 0.320 0.972 0.161 1
Na9 Na 0.336 0.931 0.830 1
Na10 Na 0.346 0.303 0.082 1
Na11 Na 0.349 0.311 0.575 1
Na12 Na 0.349 0.672 0.325 1
Na13 Na 0.389 0.650 0.002 1
Na14 Na 0.397 0.003 0.492 1
Na15 Na 0.641 0.645 0.498 1
Na16 Na 0.650 0.260 0.000 1
Na17 Na 0.675 0.970 0.413 1
Na18 Na 0.678 0.608 0.161 1
Na19 Na 0.683 0.974 0.913 1
Na20 Na 0.684 0.336 0.658 1
Na21 Na 0.714 0.302 0.325 1
Na22 Na 0.730 0.671 0.826 1
Na23 Na 0.976 0.310 0.829 1
Na24 Na 0.979 0.938 0.323 1
Mg1 Mg 0.010 0.637 0.890 1
Mg2 Mg 0.679 0.970 0.063 1
Mg3 Mg 0.681 0.969 0.558 1
Si1 Si 0.050 0.007 0.826 1
Si2 Si 0.052 0.301 0.326 1
Si3 Si 0.309 0.637 0.493 1
Si4 Si 0.347 0.010 0.327 1
Si5 Si 0.386 0.675 0.157 1
Si6 Si 0.642 0.301 0.826 1
Si7 Si 0.642 0.600 0.326 1
Si8 Si 0.679 0.263 0.157 1
Si9 Si 0.679 0.676 0.658 1
Si10 Si 0.714 0.339 0.492 1
Si11 Si 0.974 0.971 0.157 1
Si12 Si 0.976 0.266 0.658 1
Sn1 Sn 0.007 0.630 0.594 1
Sn2 Sn 0.012 0.636 0.094 1
Sn3 Sn 0.014 0.633 0.390 1
Sn4 Sn 0.345 0.300 0.926 1
Sn5 Sn 0.348 0.303 0.225 1
Sn6 Sn 0.348 0.304 0.725 1
Sn7 Sn 0.348 0.307 0.428 1
Sn8 Sn 0.680 0.970 0.260 1
Sn9 Sn 0.686 0.975 0.760 1
P1 P 0.015 0.930 0.493 1
P2 P 0.017 0.345 0.989 1
P3 P 0.306 0.930 0.990 1
P4 P 0.348 0.599 0.827 1
P5 P 0.387 0.969 0.658 1
P6 P 0.717 0.635 0.990 1
O1 O 0.000 0.459 0.657 1
O2 O 0.035 0.473 0.330 1
O3 O 0.035 0.823 0.831 1
O4 O 0.049 0.456 0.048 1
O5 O 0.051 0.850 0.550 1
O6 O 0.130 0.135 0.885 1
O7 O 0.131 0.260 0.386 1
O8 O 0.165 0.139 0.164 1
O9 O 0.168 0.287 0.665 1
O10 O 0.171 0.095 0.767 1
O11 O 0.174 0.342 0.268 1
O12 O 0.174 0.822 0.331 1
O13 O 0.180 0.106 0.489 1
O14 O 0.186 0.333 0.989 1
O15 O 0.188 0.600 0.553 1
O16 O 0.192 0.618 0.833 1
O17 O 0.194 0.851 0.048 1
O18 O 0.195 0.655 0.153 1
O19 O 0.205 0.811 0.655 1
O20 O 0.218 0.823 0.935 1
O21 O 0.224 0.673 0.433 1
O22 O 0.306 0.089 0.267 1
O23 O 0.312 0.456 0.490 1
O24 O 0.316 0.486 0.770 1
O25 O 0.319 0.112 0.989 1
O26 O 0.364 0.485 0.164 1
O27 O 0.367 0.130 0.665 1
O28 O 0.385 0.129 0.387 1
O29 O 0.388 0.521 0.883 1
O30 O 0.460 0.934 0.717 1
O31 O 0.462 0.794 0.218 1
O32 O 0.484 0.952 0.995 1
O33 O 0.496 0.801 0.496 1
O34 O 0.498 0.999 0.604 1
O35 O 0.501 0.754 0.098 1
O36 O 0.511 0.286 0.164 1
O37 O 0.511 0.776 0.821 1
O38 O 0.512 0.482 0.664 1
O39 O 0.517 0.992 0.322 1
O40 O 0.518 0.260 0.886 1
O41 O 0.522 0.522 0.386 1
O42 O 0.525 0.324 0.490 1
O43 O 0.534 0.469 0.988 1
O44 O 0.558 0.340 0.767 1
O45 O 0.563 0.478 0.268 1
O46 O 0.640 0.756 0.601 1
O47 O 0.643 0.149 0.098 1
O48 O 0.644 0.119 0.822 1
O49 O 0.658 0.787 0.321 1
O50 O 0.696 0.792 0.995 1
O51 O 0.699 0.155 0.497 1
O52 O 0.714 0.789 0.721 1
O53 O 0.721 0.188 0.218 1
O54 O 0.792 0.464 0.552 1
O55 O 0.794 0.599 0.048 1
O56 O 0.825 0.655 0.935 1
O57 O 0.830 0.463 0.831 1
O58 O 0.832 0.621 0.331 1
O59 O 0.834 0.428 0.433 1
O60 O 0.850 0.455 0.153 1
O61 O 0.856 0.929 0.218 1
O62 O 0.857 0.664 0.656 1
O63 O 0.858 0.947 0.498 1
O64 O 0.859 0.192 0.720 1
O65 O 0.860 0.167 0.995 1
O66 O 0.861 0.992 0.823 1
O67 O 0.864 0.132 0.322 1
O68 O 0.894 0.146 0.601 1
O69 O 0.895 0.007 0.098 1
O70 O 0.987 0.818 0.436 1
O71 O 0.994 0.800 0.153 1
O72 O 0.998 0.434 0.934 1
# - Formation energy: -110.146 eV/f.u.
# - Symmetry: P1
# - Size of the total moment: 0.001 μB per formula unit
# - Total DFT energy (no corrections): -807.44 eV for the cell shown